The following is a DFT calculation (PBE-GGA) of an optimized crystal structure of Na2YPCO7.

Structure (POSCAR):
```
Na2YPCO7
1.0
5.226 0.000 0.000
0.000 7.004 0.000
-0.110 0.000 9.286
Na Y P C O
4 2 2 2 14
Direct
0.231 0.000 0.208 Na
0.231 0.500 0.208 Na
0.769 0.000 0.792 Na
0.769 0.500 0.792 Na
0.224 0.250 0.630 Y
0.776 0.750 0.370 Y
0.295 0.750 0.582 P
0.705 0.250 0.418 P
0.269 0.250 0.928 C
0.731 0.750 0.072 C
0.043 0.250 0.864 O
0.183 0.569 0.653 O
0.183 0.931 0.653 O
0.224 0.750 0.417 O
0.300 0.250 0.062 O
0.406 0.250 0.407 O
0.464 0.250 0.838 O
0.536 0.750 0.162 O
0.594 0.750 0.593 O
0.700 0.750 0.938 O
0.776 0.250 0.583 O
0.817 0.069 0.347 O
0.817 0.431 0.347 O
0.957 0.750 0.136 O
```



The following is a DFT calculation (PBE-GGA) of an optimized crystal structure of KBi3.

Structure (POSCAR):
```
KBi3
1.0
5.072 0.000 0.000
0.000 5.072 0.000
0.000 0.000 5.072
K Bi
1 3
Direct
0.000 0.000 0.000 K
0.000 0.500 0.500 Bi
0.500 0.000 0.500 Bi
0.500 0.500 0.000 Bi
```



The following is a DFT calculation (PBE-GGA) of an optimized crystal structure of SrMg6Bi.

Structure (POSCAR):
```
SrMg6Bi
1.0
5.246 0.000 0.000
0.000 7.000 0.000
0.000 0.000 11.833
Mg Sr Bi
12 2 2
Direct
0.500 0.500 0.669 Mg
0.000 0.242 0.078 Mg
0.000 0.000 0.340 Mg
0.000 0.742 0.578 Mg
0.000 0.758 0.078 Mg
0.500 0.275 0.924 Mg
0.000 0.258 0.578 Mg
0.500 0.225 0.424 Mg
0.500 0.000 0.169 Mg
0.500 0.775 0.424 Mg
0.000 0.500 0.840 Mg
0.500 0.725 0.924 Mg
0.000 0.000 0.830 Sr
0.000 0.500 0.330 Sr
0.500 0.500 0.157 Bi
0.500 0.000 0.657 Bi
```

Results
**E above lowest polymorph**: 0.11 eV per formula unit



| no. | calculated total energy (eV per atom) | total magnetic moment (μB per formula unit) | ΔE_f (eV/atom) |
| --- | --- | --- | --- |
| 1 | -7.223 | 0.000 | -2.758 |
| 2 | -3.302 | 0.000 | -0.107 |
| 3 | -1.938 | 0.005 | -0.040 |